[1]
The following is a PBE+U calculation of Li3Mn4O8 after structural relaxation, from Materials Project.

Its space-group type is No. 1. Its MP2020-corrected energy is -225.65 eV per cell. The crystal system is triclinic. Its polymorph energy (0 for the lowest one) is 38 meV per atom. The formation energy comes out at -2057.8 meV/atom.

Lattice parameters (Å, degrees): 6.0124 6.0193 8.0208 90.77 90.04 93.07
Fractional positions:
Li 0.0131 0.4862 0.9979
Li 0.2446 0.2523 0.7487
Li 0.7514 0.7480 0.7486
Li 0.4901 0.0105 0.4992
Li 0.7586 0.7431 0.2474
Li 0.2500 0.2496 0.2480
Mn 0.2509 0.7497 0.7485
Mn 0.0013 0.4978 0.4979
Mn 0.5010 0.5023 0.4975
Mn 0.7501 0.2485 0.2483
Mn 0.9978 0.9992 0.4987
Mn 0.5027 0.4991 0.9977
Mn 0.9999 0.9962 0.9986
Mn 0.4991 0.9994 0.9980
O 0.2534 0.7689 0.9890
O 0.4718 0.5282 0.7502
O 0.0209 0.5192 0.7376
O 0.7532 0.2696 0.4888
O 0.2796 0.2352 0.9978
O 0.0286 0.9699 0.7455
O 0.4798 0.9788 0.7592
O 0.7849 0.7304 0.4981
O 0.2473 0.7293 0.5076
O 0.9819 0.4768 0.2587
O 0.5305 0.4713 0.2454
O 0.2192 0.2636 0.4980
O 0.5181 0.0218 0.2369
O 0.9703 0.0263 0.2513
O 0.7173 0.7669 0.9983
O 0.7473 0.2280 0.0073

=====

[2]
The following is a PBE+U calculation of K2FeH8S2O12 after structural relaxation, from Materials Project.

Its space-group type is No. 14. Its MP2020-corrected energy is -592.61 eV per cell. The crystal system is monoclinic. Its polymorph energy (0 for the lowest one) is 0 meV per atom. The formation energy comes out at -1706.8 meV/atom.

Lattice parameters (Å, degrees): 9.6490 10.1118 11.8994 84.88 90.00 90.00
Fractional positions:
K 0.2708 0.7599 0.1685
K 0.7708 0.2401 0.3315
K 0.7292 0.2401 0.8315
K 0.2292 0.7599 0.6685
K 0.7413 0.7395 0.1679
K 0.2413 0.2605 0.3321
K 0.2587 0.2605 0.8321
K 0.7587 0.7395 0.6679
Fe 0.0000 0.0000 0.0000
Fe 0.5000 0.0000 0.5000
Fe 0.5000 0.5000 0.0000
Fe 0.0000 0.5000 0.5000
H 0.2601 0.6037 0.9194
H 0.7601 0.3963 0.5806
H 0.7399 0.3963 0.0806
H 0.2399 0.6037 0.4194
H 0.3605 0.7272 0.9210
H 0.8605 0.2728 0.5790
H 0.6395 0.2728 0.0790
H 0.1395 0.7272 0.4210
H 0.2517 0.3877 0.0819
H 0.7517 0.6123 0.4181
H 0.7483 0.6123 0.9181
H 0.2483 0.3877 0.5819
H 0.3626 0.2707 0.0908
H 0.8626 0.7293 0.4092
H 0.6374 0.7293 0.9092
H 0.1374 0.2707 0.5908
H 0.2793 0.9707 0.9414
H 0.7793 0.0293 0.5586
H 0.7207 0.0293 0.0586
H 0.2207 0.9707 0.4414
H 0.2781 0.0516 0.0534
H 0.7781 0.9484 0.4466
H 0.7219 0.9484 0.9466
H 0.2219 0.0516 0.5534
H 0.0134 0.2660 0.0766
H 0.5134 0.7340 0.4234
H 0.9866 0.7340 0.9234
H 0.4866 0.2660 0.5766
H 0.9818 0.2728 0.9469
H 0.4818 0.7272 0.5531
H 0.0182 0.7272 0.0531
H 0.5182 0.2728 0.4469
S 0.5063 0.0493 0.2026
S 0.0063 0.9507 0.2974
S 0.4937 0.9507 0.7974
S 0.9937 0.0493 0.7026
S 0.9935 0.4789 0.2090
S 0.4935 0.5211 0.2910
S 0.0065 0.5211 0.7910
S 0.5065 0.4789 0.7090
O 0.3726 0.8829 0.8585
O 0.8726 0.1171 0.6415
O 0.6274 0.1171 0.1415
O 0.1274 0.8829 0.3585
O 0.3740 0.1143 0.1584
O 0.8740 0.8857 0.3416
O 0.6260 0.8857 0.8416
O 0.1260 0.1143 0.6584
O 0.0875 0.3938 0.1453
O 0.5875 0.6062 0.3547
O 0.9125 0.6062 0.8547
O 0.4125 0.3938 0.6453
O 0.8464 0.4544 0.1797
O 0.3464 0.5456 0.3203
O 0.1536 0.5456 0.8203
O 0.6536 0.4544 0.6797
O 0.0198 0.9282 0.1759
O 0.5198 0.0718 0.3241
O 0.9802 0.0718 0.8241
O 0.4802 0.9282 0.6759
O 0.5056 0.9072 0.1846
O 0.0056 0.0928 0.3154
O 0.4944 0.0928 0.8154
O 0.9944 0.9072 0.6846
O 0.5137 0.5629 0.1676
O 0.0137 0.4371 0.3324
O 0.4863 0.4371 0.8324
O 0.9863 0.5629 0.6676
O 0.0267 0.6216 0.1838
O 0.5267 0.3784 0.3162
O 0.9733 0.3784 0.8162
O 0.4733 0.6216 0.6838
O 0.3358 0.6410 0.9639
O 0.8358 0.3590 0.5361
O 0.6642 0.3590 0.0361
O 0.1642 0.6410 0.4639
O 0.3383 0.3567 0.0476
O 0.8383 0.6433 0.4524
O 0.6617 0.6433 0.9524
O 0.1617 0.3567 0.5476
O 0.2200 0.0236 0.9903
O 0.7200 0.9764 0.5097
O 0.7800 0.9764 0.0097
O 0.2800 0.0236 0.4903
O 0.9809 0.2112 0.0165
O 0.4809 0.7888 0.4835
O 0.0191 0.7888 0.9835
O 0.5191 0.2112 0.5165

=====

[3]
The following is a PBE+U calculation of MgV4O7F5 after structural relaxation, from Materials Project.

Its space-group type is No. 1. Its MP2020-corrected energy is -128.29 eV per cell. The crystal system is triclinic. Its polymorph energy (0 for the lowest one) is 8 meV per atom. The formation energy comes out at -2714.4 meV/atom.

Lattice parameters (Å, degrees): 5.2369 5.3042 8.9722 73.98 89.68 63.56
Fractional positions:
Mg 0.8153 0.3968 0.6022
V 0.6538 0.5330 0.2393
V 0.4284 0.0279 0.4817
V 0.2734 0.5214 0.7703
V 0.9695 0.0019 0.0023
O 0.5693 0.7113 0.3888
O 0.3881 0.7844 0.0912
O 0.4788 0.7118 0.6704
O 0.5535 0.2626 0.3166
O 0.6200 0.2274 0.9146
O 0.0714 0.7155 0.8868
O 0.0667 0.2213 0.4463
F 0.9964 0.6760 0.5833
F 0.9101 0.7433 0.1791
F 0.9379 0.2795 0.1259
F 0.5460 0.2091 0.6209
F 0.0963 0.2268 0.8089

=====

[4]
The following is a PBE+U calculation of LiCr2P3O12 after structural relaxation, from Materials Project.

Its space-group type is No. 2. Its MP2020-corrected energy is -282.17 eV per cell. The crystal system is triclinic. Its polymorph energy (0 for the lowest one) is 8 meV per atom. The formation energy comes out at -2458.7 meV/atom.

Lattice parameters (Å, degrees): 8.3537 8.3968 8.7572 118.34 90.37 120.04
Fractional positions:
Li 0.2269 0.7578 0.5794
Li 0.7731 0.2422 0.4206
Cr 0.8656 0.2137 0.0723
Cr 0.3566 0.2108 0.5649
Cr 0.6434 0.7892 0.4351
Cr 0.1343 0.7863 0.9277
P 0.0367 0.0097 0.7538
P 0.4672 0.7193 0.7471
P 0.5328 0.2807 0.2529
P 0.9633 0.9903 0.2462
P 0.2477 0.7145 0.2522
P 0.7523 0.2855 0.7478
O 0.4503 0.7523 0.2756
O 0.8110 0.2978 0.9189
O 0.5223 0.4743 0.3005
O 0.8969 0.1335 0.2484
O 0.1031 0.8665 0.7516
O 0.2492 0.8909 0.4309
O 0.1890 0.7022 0.0811
O 0.0979 0.5006 0.2450
O 0.2691 0.6787 0.7689
O 0.0263 0.1401 0.9448
O 0.7508 0.1091 0.5691
O 0.4754 0.7631 0.5914
O 0.1801 0.1719 0.7067
O 0.7309 0.3213 0.2311
O 0.6348 0.9231 0.9280
O 0.4777 0.5257 0.6995
O 0.9021 0.4994 0.7550
O 0.3652 0.0769 0.0720
O 0.8279 0.8451 0.6127
O 0.8199 0.8281 0.2933
O 0.5246 0.2369 0.4086
O 0.5497 0.2477 0.7244
O 0.9737 0.8599 0.0552
O 0.1721 0.1549 0.3873

=====

[5]
The following is a PBE+U calculation of Ca3Mn3As4O16 after structural relaxation, from Materials Project.

Its space-group type is No. 14. Its MP2020-corrected energy is -383.55 eV per cell. The crystal system is monoclinic. The formation energy comes out at -2325.8 meV/atom.

Lattice parameters (Å, degrees): 5.2492 9.2813 17.6627 63.00 90.00 90.00
Fractional positions:
Ca 0.5397 0.3145 0.2301
Ca 0.0397 0.6855 0.2699
Ca 0.4603 0.6855 0.7699
Ca 0.9603 0.3145 0.7301
Ca 0.5000 0.0000 0.5000
Ca 0.0000 0.0000 0.0000
Mn 0.4841 0.1922 0.6224
Mn 0.5159 0.8078 0.3776
Mn 0.9841 0.8078 0.8776
Mn 0.0159 0.1922 0.1224
Mn 0.0000 0.5000 0.5000
Mn 0.5000 0.5000 0.0000
As 0.0061 0.0383 0.3429
As 0.4923 0.4367 0.4009
As 0.9923 0.5633 0.0991
As 0.0077 0.4367 0.9009
As 0.9939 0.9617 0.6571
As 0.5077 0.5633 0.5991
As 0.4939 0.0383 0.8429
As 0.5061 0.9617 0.1571
O 0.4411 0.8147 0.2591
O 0.9465 0.7437 0.0103
O 0.3847 0.4365 0.3103
O 0.4160 0.1495 0.1479
O 0.6153 0.5635 0.6897
O 0.0589 0.8147 0.7591
O 0.8847 0.5635 0.1897
O 0.6988 0.5062 0.8938
O 0.6619 0.0923 0.9077
O 0.5589 0.1853 0.7409
O 0.0840 0.1495 0.6479
O 0.3012 0.4938 0.1062
O 0.3063 0.5793 0.4154
O 0.3381 0.9077 0.0923
O 0.6658 0.9665 0.6409
O 0.1658 0.0335 0.8591
O 0.8063 0.4207 0.0846
O 0.1153 0.4365 0.8103
O 0.1619 0.9077 0.5923
O 0.1988 0.4938 0.6062
O 0.8342 0.9665 0.1409
O 0.3342 0.0335 0.3591
O 0.0535 0.2563 0.9897
O 0.4465 0.2563 0.4897
O 0.6937 0.4207 0.5846
O 0.9411 0.1853 0.2409
O 0.5840 0.8505 0.8521
O 0.8381 0.0923 0.4077
O 0.5535 0.7437 0.5103
O 0.8012 0.5062 0.3938
O 0.1937 0.5793 0.9154
O 0.9160 0.8505 0.3521

=====

[6]
The following is a PBE+U calculation of BaNdMgCo2O6 after structural relaxation, from Materials Project.

Its space-group type is No. 25. Its MP2020-corrected energy is -76.71 eV per cell. The crystal system is orthorhombic. Its polymorph energy (0 for the lowest one) is 0 meV per atom. The formation energy comes out at -2229.2 meV/atom.

Lattice parameters (Å, degrees): 3.7744 3.9375 11.2581 90.00 90.00 90.00
Fractional positions:
Ba 0.0000 0.0000 0.4481
Nd 0.0000 0.0000 0.1193
Mg 0.0000 0.0000 0.7557
Co 0.5000 0.5000 0.6617
Co 0.5000 0.5000 0.2462
O 0.5000 0.5000 0.0684
O 0.5000 0.5000 0.4965
O 0.0000 0.5000 0.7432
O 0.5000 0.0000 0.6994
O 0.0000 0.5000 0.2602
O 0.5000 0.0000 0.2511

=====

> MP2020-corrected energy of number 1 (Li3Mn4O8)?

-225.65 eV per cell